Record 1
Compound: Na2CuBiCl6
Source: the Materials Project database
Functional: PBE-GGA
Structure: relaxed

abc: 7.343 7.343 7.343
angles: 60.00 60.00 60.00
Fractional coordinates of all 10 atoms:
Na 0.250 0.250 0.250
Na 0.750 0.750 0.750
Cu 0.000 0.000 0.000
Bi 0.500 0.500 0.500
Cl 0.239 0.239 0.761
Cl 0.239 0.761 0.239
Cl 0.239 0.761 0.761
Cl 0.761 0.239 0.239
Cl 0.761 0.239 0.761
Cl 0.761 0.761 0.239

- total magnetic moment (μB per cell) = 0.000
- VASP energy (eV/atom) = -3.219
- formation energy from the elements (meV per atom) = -1415

Record 2
Compound: Cu3BiSe2ClO8
Source: the Materials Project database
Functional: PBE-GGA
Structure: relaxed

abc: 6.421 9.759 7.321
angles: 90.00 90.00 90.00
Fractional coordinates of all 30 atoms:
Cu 0.000 0.000 0.000
Cu 0.000 0.500 0.000
Cu 0.250 0.250 0.206
Cu 0.500 0.000 0.000
Cu 0.500 0.500 0.000
Cu 0.750 0.750 0.794
Bi 0.250 0.250 0.752
Bi 0.750 0.750 0.248
Se 0.250 0.557 0.391
Se 0.250 0.943 0.391
Se 0.750 0.057 0.609
Se 0.750 0.443 0.609
Cl 0.250 0.750 0.849
Cl 0.750 0.250 0.151
O 0.039 0.584 0.245
O 0.039 0.916 0.245
O 0.250 0.114 0.009
O 0.250 0.118 0.412
O 0.250 0.382 0.412
O 0.250 0.386 0.009
O 0.461 0.584 0.245
O 0.461 0.916 0.245
O 0.539 0.084 0.755
O 0.539 0.416 0.755
O 0.750 0.614 0.991
O 0.750 0.618 0.588
O 0.750 0.882 0.588
O 0.750 0.886 0.991
O 0.961 0.084 0.755
O 0.961 0.416 0.755

- total magnetic moment (μB per cell) = 6.000
- VASP energy (eV/atom) = -5.112
- formation energy from the elements (meV per atom) = -1171

Record 3
Compound: Cu3Bi2S4Cl
Source: the Materials Project database
Functional: PBE-GGA
Structure: relaxed

abc: 4.036 10.404 20.922
angles: 90.00 90.00 90.00
Fractional coordinates of all 40 atoms:
Cu 0.027 0.023 0.283
Cu 0.083 0.622 0.378
Cu 0.173 0.764 0.712
Cu 0.327 0.236 0.212
Cu 0.417 0.378 0.878
Cu 0.473 0.977 0.783
Cu 0.527 0.477 0.717
Cu 0.583 0.878 0.622
Cu 0.673 0.736 0.288
Cu 0.827 0.264 0.788
Cu 0.917 0.122 0.122
Cu 0.973 0.523 0.217
Bi 0.013 0.192 0.620
Bi 0.099 0.608 0.553
Bi 0.401 0.392 0.053
Bi 0.487 0.808 0.120
Bi 0.513 0.308 0.380
Bi 0.599 0.892 0.447
Bi 0.901 0.108 0.947
Bi 0.987 0.692 0.880
S 0.007 0.838 0.351
S 0.013 0.440 0.324
S 0.017 0.863 0.546
S 0.028 0.370 0.708
S 0.472 0.630 0.208
S 0.483 0.137 0.046
S 0.487 0.560 0.824
S 0.493 0.162 0.851
S 0.507 0.662 0.649
S 0.513 0.060 0.676
S 0.517 0.637 0.454
S 0.528 0.130 0.292
S 0.972 0.870 0.792
S 0.983 0.363 0.954
S 0.987 0.940 0.176
S 0.993 0.338 0.149
Cl 0.011 0.139 0.449
Cl 0.489 0.861 0.949
Cl 0.511 0.361 0.551
Cl 0.989 0.639 0.051

- total magnetic moment (μB per cell) = 0.000
- VASP energy (eV/atom) = -4.186
- formation energy from the elements (meV per atom) = -602

Record 4
Compound: Ga3Bi5Cl12
Source: the Materials Project database
Functional: PBE-GGA
Structure: relaxed

abc: 12.444 12.444 12.444
angles: 58.13 58.13 58.13
Fractional coordinates of all 40 atoms:
Ga 0.229 0.750 0.271
Ga 0.250 0.729 0.771
Ga 0.271 0.229 0.750
Ga 0.729 0.771 0.250
Ga 0.750 0.271 0.229
Ga 0.771 0.250 0.729
Bi 0.093 0.407 0.250
Bi 0.172 0.172 0.172
Bi 0.250 0.093 0.407
Bi 0.328 0.328 0.328
Bi 0.407 0.250 0.093
Bi 0.593 0.750 0.907
Bi 0.672 0.672 0.672
Bi 0.750 0.907 0.593
Bi 0.828 0.828 0.828
Bi 0.907 0.593 0.750
Cl 0.045 0.926 0.307
Cl 0.074 0.693 0.955
Cl 0.104 0.275 0.698
Cl 0.193 0.574 0.455
Cl 0.198 0.775 0.604
Cl 0.225 0.396 0.802
Cl 0.275 0.698 0.104
Cl 0.302 0.896 0.725
Cl 0.307 0.045 0.926
Cl 0.396 0.802 0.225
Cl 0.426 0.545 0.807
Cl 0.455 0.193 0.574
Cl 0.545 0.807 0.426
Cl 0.574 0.455 0.193
Cl 0.604 0.198 0.775
Cl 0.693 0.955 0.074
Cl 0.698 0.104 0.275
Cl 0.725 0.302 0.896
Cl 0.775 0.604 0.198
Cl 0.802 0.225 0.396
Cl 0.807 0.426 0.545
Cl 0.896 0.725 0.302
Cl 0.926 0.307 0.045
Cl 0.955 0.074 0.693

- VASP energy (eV/atom) = -3.396
- formation energy from the elements (meV per atom) = -1228

Record 5
Compound: Ga3Bi5Cl12
Source: the Materials Project database
Functional: PBE-GGA
Structure: relaxed

abc: 12.456 12.456 12.456
angles: 57.97 57.97 57.97
Fractional coordinates of all 40 atoms:
Ga 0.002 0.477 0.521
Ga 0.021 0.977 0.502
Ga 0.477 0.521 0.002
Ga 0.502 0.021 0.977
Ga 0.521 0.002 0.477
Ga 0.977 0.502 0.021
Bi 0.078 0.078 0.078
Bi 0.160 0.998 0.845
Bi 0.345 0.498 0.660
Bi 0.423 0.423 0.423
Bi 0.498 0.660 0.345
Bi 0.578 0.578 0.578
Bi 0.660 0.345 0.498
Bi 0.845 0.160 0.998
Bi 0.923 0.923 0.923
Bi 0.998 0.845 0.160
Cl 0.024 0.451 0.853
Cl 0.053 0.643 0.479
Cl 0.054 0.792 0.678
Cl 0.143 0.553 0.979
Cl 0.178 0.292 0.554
Cl 0.205 0.941 0.325
Cl 0.292 0.554 0.178
Cl 0.325 0.205 0.941
Cl 0.353 0.951 0.524
Cl 0.441 0.705 0.825
Cl 0.451 0.853 0.024
Cl 0.479 0.053 0.643
Cl 0.524 0.353 0.951
Cl 0.553 0.979 0.143
Cl 0.554 0.178 0.292
Cl 0.643 0.479 0.053
Cl 0.678 0.054 0.792
Cl 0.705 0.825 0.441
Cl 0.792 0.678 0.054
Cl 0.825 0.441 0.705
Cl 0.853 0.024 0.451
Cl 0.941 0.325 0.205
Cl 0.951 0.524 0.353
Cl 0.979 0.143 0.553

- total magnetic moment (μB per cell) = 0.018
- VASP energy (eV/atom) = -3.397
- formation energy from the elements (meV per atom) = -1230

Record 6
Compound: K2BiH4Cl5O2
Source: the Materials Project database
Functional: PBE-GGA
Structure: relaxed

abc: 8.570 22.095 12.581
angles: 90.00 90.00 90.00
Fractional coordinates of all 112 atoms:
K 0.020 0.048 0.194
K 0.020 0.452 0.194
K 0.055 0.250 0.158
K 0.213 0.250 0.835
K 0.287 0.750 0.335
K 0.445 0.750 0.658
K 0.480 0.548 0.694
K 0.480 0.952 0.694
K 0.520 0.048 0.306
K 0.520 0.452 0.306
K 0.555 0.250 0.342
K 0.713 0.250 0.665
K 0.787 0.750 0.165
K 0.945 0.750 0.842
K 0.980 0.548 0.806
K 0.980 0.952 0.806
Bi 0.134 0.152 0.503
Bi 0.134 0.348 0.503
Bi 0.366 0.652 0.003
Bi 0.366 0.848 0.003
Bi 0.634 0.152 0.997
Bi 0.634 0.348 0.997
Bi 0.866 0.652 0.497
Bi 0.866 0.848 0.497
H 0.056 0.138 0.968
H 0.056 0.362 0.968
H 0.199 0.519 0.385
H 0.199 0.981 0.385
H 0.226 0.139 0.014
H 0.226 0.361 0.014
H 0.228 0.559 0.286
H 0.228 0.941 0.286
H 0.272 0.059 0.786
H 0.272 0.441 0.786
H 0.274 0.639 0.514
H 0.274 0.861 0.514
H 0.301 0.019 0.885
H 0.301 0.481 0.885
H 0.444 0.638 0.468
H 0.444 0.862 0.468
H 0.556 0.138 0.532
H 0.556 0.362 0.532
H 0.699 0.519 0.115
H 0.699 0.981 0.115
H 0.726 0.139 0.486
H 0.726 0.361 0.486
H 0.728 0.559 0.214
H 0.728 0.941 0.214
H 0.772 0.059 0.714
H 0.772 0.441 0.714
H 0.774 0.639 0.986
H 0.774 0.861 0.986
H 0.801 0.019 0.615
H 0.801 0.481 0.615
H 0.944 0.638 0.032
H 0.944 0.862 0.032
Cl 0.005 0.151 0.698
Cl 0.005 0.349 0.698
Cl 0.059 0.750 0.561
Cl 0.086 0.574 0.558
Cl 0.086 0.926 0.558
Cl 0.148 0.568 0.047
Cl 0.148 0.932 0.047
Cl 0.171 0.750 0.070
Cl 0.245 0.654 0.800
Cl 0.245 0.846 0.800
Cl 0.255 0.154 0.300
Cl 0.255 0.346 0.300
Cl 0.329 0.250 0.570
Cl 0.352 0.068 0.547
Cl 0.352 0.432 0.547
Cl 0.414 0.074 0.058
Cl 0.414 0.426 0.058
Cl 0.441 0.250 0.061
Cl 0.495 0.651 0.198
Cl 0.495 0.849 0.198
Cl 0.505 0.151 0.802
Cl 0.505 0.349 0.802
Cl 0.559 0.750 0.939
Cl 0.586 0.574 0.942
Cl 0.586 0.926 0.942
Cl 0.648 0.568 0.453
Cl 0.648 0.932 0.453
Cl 0.671 0.750 0.430
Cl 0.745 0.654 0.700
Cl 0.745 0.846 0.700
Cl 0.755 0.154 0.200
Cl 0.755 0.346 0.200
Cl 0.829 0.250 0.930
Cl 0.852 0.068 0.953
Cl 0.852 0.432 0.953
Cl 0.914 0.074 0.442
Cl 0.914 0.426 0.442
Cl 0.941 0.250 0.439
Cl 0.995 0.651 0.302
Cl 0.995 0.849 0.302
O 0.135 0.165 0.998
O 0.135 0.335 0.998
O 0.239 0.517 0.312
O 0.239 0.983 0.312
O 0.261 0.017 0.812
O 0.261 0.483 0.812
O 0.365 0.665 0.498
O 0.365 0.835 0.498
O 0.635 0.165 0.502
O 0.635 0.335 0.502
O 0.739 0.517 0.188
O 0.739 0.983 0.188
O 0.761 0.017 0.688
O 0.761 0.483 0.688
O 0.865 0.665 0.002
O 0.865 0.835 0.002

- total magnetic moment (μB per cell) = 0.007
- VASP energy (eV/atom) = -4.071
- formation energy from the elements (meV per atom) = -1396

Question: Look up the VASP energy of the fourth one.
Answer: -3.396 eV/atom